# 1
Computed, not measured: crystalline Ce2Te4O11 at its relaxed geometry at the GGA-PBE level of DFT.

abc: 6.949 6.949 16.540
angles: 75.91 75.91 44.98
Sites, in units of the cell vectors:
O1 0.910 0.798 0.670
O2 0.954 0.192 0.046
O3 0.183 0.318 0.129
O4 0.682 0.817 0.371
O5 0.808 0.046 0.454
Ce1 0.865 0.372 0.462
Te1 0.590 0.150 0.372
O6 0.046 0.808 0.954
O7 0.617 0.436 0.899
O8 0.318 0.183 0.629
Te2 0.152 0.608 0.202
Te3 0.392 0.848 0.298
O9 0.817 0.682 0.871
Te4 0.850 0.410 0.128
Ce2 0.628 0.135 0.038
Te5 0.150 0.590 0.872
O10 0.252 0.336 0.443
Te6 0.410 0.850 0.628
O11 0.090 0.202 0.330
Ce3 0.372 0.865 0.962
O12 0.383 0.564 0.101
O13 0.564 0.383 0.601
Te7 0.608 0.152 0.702
O14 0.436 0.617 0.399
O15 0.857 0.143 0.750
O16 0.336 0.252 0.943
O17 0.664 0.748 0.057
Ce4 0.135 0.628 0.538
O18 0.748 0.664 0.557
O19 0.192 0.954 0.546
O20 0.798 0.910 0.170
O21 0.202 0.090 0.830
Te8 0.848 0.392 0.798
O22 0.143 0.857 0.250

Computed properties:
**Energy**: -218.89 eV for the cell shown
**ΔH_f (0 K)**: -2.2433 eV/atom
**Space-group type**: C2/c (15)

***

# 2
Computed, not measured: crystalline CeTe2O6 at its relaxed geometry at the GGA-PBE level of DFT.

abc: 11.330 7.126 8.609
angles: 55.31 90.00 90.00
Sites, in units of the cell vectors:
O1 0.247 0.974 0.665
O2 0.597 0.864 0.182
O3 0.753 0.026 0.335
O4 0.097 0.136 0.318
O5 0.776 0.562 0.624
O6 0.276 0.438 0.876
O7 0.902 0.388 0.040
Ce1 0.409 0.261 0.499
O8 0.724 0.562 0.124
Te1 0.419 0.268 0.959
Te2 0.776 0.189 0.069
O9 0.098 0.612 0.960
O10 0.224 0.438 0.376
O11 0.402 0.612 0.460
O12 0.598 0.994 0.590
O13 0.747 0.026 0.835
Te3 0.224 0.811 0.931
Te4 0.081 0.268 0.459
O14 0.022 0.478 0.704
O15 0.253 0.974 0.165
Ce2 0.909 0.739 0.001
O16 0.098 0.006 0.910
Te5 0.276 0.811 0.431
O17 0.402 0.006 0.410
Te6 0.581 0.732 0.041
O18 0.902 0.994 0.090
O19 0.522 0.522 0.796
O20 0.598 0.388 0.540
Ce3 0.091 0.261 0.999
O21 0.978 0.522 0.296
O22 0.403 0.136 0.818
Te7 0.724 0.189 0.569
O23 0.903 0.864 0.682
O24 0.478 0.478 0.204
Ce4 0.591 0.739 0.501
Te8 0.919 0.732 0.541

Computed properties:
**Energy**: -233.75 eV for the cell shown
**ΔH_f (0 K)**: -2.2947 eV/atom
**Space-group type**: P2_1/c (14)

***

# 3
Computed, not measured: crystalline CeThO4 at its relaxed geometry at the GGA-PBE level of DFT.

abc: 3.920 3.920 5.542
angles: 90.00 90.00 90.00
Sites, in units of the cell vectors:
O1 0.500 0.000 0.254
O2 0.000 0.500 0.254
Ce1 0.500 0.500 0.500
Th1 0.000 0.000 0.000
O3 0.000 0.500 0.746
O4 0.500 0.000 0.746

Computed properties:
**Energy**: -55.24 eV for the cell shown
**ΔH_f (0 K)**: -4.1410 eV/atom
**Space-group type**: P4/mmm (123)

***

# 4
Computed, not measured: crystalline Ce4ThO9 at its relaxed geometry at the GGA-PBE level of DFT.

abc: 6.793 6.793 6.793
angles: 99.81 99.81 131.25
Sites, in units of the cell vectors:
Ce1 0.485 0.385 0.321
O1 0.721 0.090 0.821
O2 0.185 0.585 0.782
Ce2 0.064 0.165 0.679
O3 0.500 0.500 0.000
Ce3 0.615 0.936 0.101
Th1 0.250 0.750 0.500
O4 0.597 0.815 0.399
Ce4 0.835 0.515 0.899
O5 0.099 0.279 0.369
O6 0.415 0.198 0.601
O7 0.802 0.403 0.218
O8 0.269 0.901 0.179
O9 0.910 0.731 0.631

Computed properties:
**Energy**: -125.53 eV for the cell shown
**ΔH_f (0 K)**: -4.0022 eV/atom
**Space-group type**: I-4 (82)

***

# 5
Computed, not measured: crystalline Ce3Th2O9 at its relaxed geometry at the GGA-PBE level of DFT.

abc: 10.425 10.425 10.425
angles: 158.33 148.72 38.38
Sites, in units of the cell vectors:
O1 0.140 0.396 0.744
O2 0.238 0.000 0.238
Ce1 0.905 0.895 0.010
O3 0.655 0.413 0.242
O4 0.955 0.198 0.756
Th1 0.702 0.697 0.004
Ce2 0.458 0.500 0.958
O5 0.459 0.202 0.257
O6 0.055 0.798 0.257
O7 0.347 0.604 0.744
Th2 0.307 0.303 0.004
O8 0.829 0.587 0.242
Ce3 0.115 0.105 0.010
O9 0.558 0.802 0.756

Computed properties:
**Energy above the most stable polymorph in this dataset**: 0.0190 eV/atom
**Energy**: -127.81 eV for the cell shown
**ΔH_f (0 K)**: -4.0597 eV/atom
**Space-group type**: Imm2 (44)

***

# 6
Computed, not measured: crystalline Ce3Th2O9 at its relaxed geometry at the GGA-PBE level of DFT.

abc: 6.863 6.863 9.688
angles: 61.85 61.85 33.25
Sites, in units of the cell vectors:
O1 0.213 0.213 0.428
Th1 0.805 0.805 0.806
O2 0.593 0.593 0.352
Ce1 0.010 0.010 0.986
O3 0.402 0.402 0.655
O4 0.813 0.813 0.059
Ce2 0.397 0.397 0.416
Ce3 0.184 0.184 0.204
O5 0.205 0.205 0.951
O6 0.796 0.796 0.564
Th2 0.606 0.606 0.591
O7 0.010 0.010 0.736
O8 0.594 0.594 0.864
O9 0.986 0.986 0.240

Computed properties:
**Energy above the most stable polymorph in this dataset**: 0.0000 eV/atom
**Energy**: -128.08 eV for the cell shown
**ΔH_f (0 K)**: -4.0788 eV/atom
**Space-group type**: Cm (8)

***

# 7
Computed, not measured: crystalline Ce2ThO6 at its relaxed geometry at the GGA-PBE level of DFT.

abc: 6.761 6.761 6.761
angles: 146.42 131.80 60.02
Sites, in units of the cell vectors:
O1 0.084 0.832 0.252
O2 0.916 0.168 0.748
O3 0.580 0.832 0.748
O4 0.746 0.500 0.246
Ce1 0.668 0.668 0.000
O5 0.420 0.168 0.252
Ce2 0.332 0.332 0.000
Th1 0.000 0.000 0.000
O6 0.254 0.500 0.754

Computed properties:
**Energy**: -81.47 eV for the cell shown
**ΔH_f (0 K)**: -4.0693 eV/atom
**Space-group type**: Immm (71)

***

# 8
Computed, not measured: crystalline Ce2ThO6 at its relaxed geometry at the GGA-PBE level of DFT.

abc: 3.907 3.907 9.540
angles: 90.00 90.00 120.00
Sites, in units of the cell vectors:
O1 0.667 0.333 0.087
O2 0.000 0.000 0.255
O3 0.667 0.333 0.582
O4 0.333 0.667 0.913
Ce1 0.333 0.667 0.663
O5 0.333 0.667 0.418
O6 0.000 0.000 0.745
Th1 0.000 0.000 0.000
Ce2 0.667 0.333 0.337

Computed properties:
**Energy**: -81.47 eV for the cell shown
**ΔH_f (0 K)**: -4.0691 eV/atom
**Space-group type**: P-3m1 (164)